# VF5 GGA+U relaxed
data_VF5
_cell_length_a 3.084
_cell_length_b 11.581
_cell_length_c 11.345
_cell_angle_alpha 90.00
_cell_angle_beta 90.00
_cell_angle_gamma 90.00
_symmetry_space_group_name_H-M 'C m c m'
_symmetry_Int_Tables_number 63
_symmetry_space_group_name_Hall '-C 2c 2'
loop_
_atom_site_label
_atom_site_fract_x
_atom_site_fract_y
_atom_site_fract_z
V1 0.000 0.000 0.000
F1 0.000 0.129 0.082
F2 0.000 0.204 0.750
F3 0.000 0.444 0.093
# - DFT total energy (eV/f.u.) = -28.82

=====

# Li2MgCo3O8 GGA+U relaxed
data_Li2MgCo3O8
_cell_length_a 9.792
_cell_length_b 5.733
_cell_length_c 5.902
_cell_angle_alpha 90.00
_cell_angle_beta 123.08
_cell_angle_gamma 90.00
_symmetry_space_group_name_H-M 'C 1 2/m 1'
_symmetry_Int_Tables_number 12
loop_
_symmetry_equiv_pos_as_xyz
'x,y,z'
'-x,-y,-z'
'-x,y,-z'
'x,-y,z'
'x+1/2,y+1/2,z'
'-x+1/2,-y+1/2,-z'
'-x+1/2,y+1/2,-z'
'x+1/2,-y+1/2,z'
loop_
_atom_site_label
_atom_site_fract_x
_atom_site_fract_y
_atom_site_fract_z
Li1 0.250 0.250 0.000
Mg1 0.000 0.000 0.500
Co1 0.000 0.500 0.500
Co2 0.250 0.250 0.500
O1 0.020 0.268 0.298
O2 0.236 0.500 0.702
O3 0.241 0.000 0.713
# - energy above the lowest structure with this stoichiometry (eV/atom) = 0.167

=====

# EuNiSnWO6 GGA+U relaxed
data_EuNiSnWO6
_cell_length_a 7.999
_cell_length_b 7.999
_cell_length_c 7.999
_cell_angle_alpha 90.00
_cell_angle_beta 90.00
_cell_angle_gamma 90.00
_symmetry_space_group_name_H-M 'F -4 3 m'
_symmetry_Int_Tables_number 216
_symmetry_space_group_name_Hall 'F -4 2 3'
loop_
_atom_site_label
_atom_site_fract_x
_atom_site_fract_y
_atom_site_fract_z
Eu1 0.000 0.000 0.000
Ni1 0.250 0.250 0.250
Sn1 0.000 0.000 0.500
W1 0.250 0.250 0.750
O1 0.006 0.250 0.750
# - DFT total energy (eV/f.u.) = -72.25

=====

# Mg3As4W3O16 GGA+U relaxed
data_Mg3As4W3O16
_cell_length_a 10.141
_cell_length_b 5.564
_cell_length_c 15.891
_cell_angle_alpha 90.00
_cell_angle_beta 105.86
_cell_angle_gamma 90.00
_symmetry_space_group_name_H-M 'P 1 21/c 1'
_symmetry_Int_Tables_number 14
loop_
_symmetry_equiv_pos_as_xyz
'x,y,z'
'-x,-y,-z'
'-x,y+1/2,-z+1/2'
'x,-y+1/2,z+1/2'
loop_
_atom_site_label
_atom_site_fract_x
_atom_site_fract_y
_atom_site_fract_z
Mg1 0.000 0.000 0.000
Mg2 0.294 0.123 0.281
As1 0.108 0.519 0.154
As2 0.344 0.170 0.078
W1 0.195 0.622 0.385
W2 0.500 0.000 0.500
O1 0.022 0.712 0.395
O2 0.111 0.703 0.071
O3 0.179 0.154 0.823
O4 0.190 0.111 0.993
O5 0.203 0.680 0.794
O6 0.266 0.196 0.663
O7 0.362 0.719 0.461
O8 0.448 0.118 0.385
# - DFT total energy (eV/f.u.) = -168.02

=====

# Li3V3P8O29 GGA+U relaxed
data_Li3V3P8O29
_cell_length_a 9.761
_cell_length_b 9.774
_cell_length_c 14.537
_cell_angle_alpha 89.70
_cell_angle_beta 89.49
_cell_angle_gamma 60.24
_symmetry_space_group_name_H-M 'P 1'
_symmetry_Int_Tables_number 1
loop_
_symmetry_equiv_pos_as_xyz
'x,y,z'
loop_
_atom_site_label
_atom_site_fract_x
_atom_site_fract_y
_atom_site_fract_z
Li1 0.000 0.000 0.000
Li2 0.060 0.651 0.569
Li3 0.167 0.596 0.047
Li4 0.406 0.589 0.508
Li5 0.770 0.900 0.111
Li6 0.860 0.996 0.515
V1 0.084 0.245 0.314
V2 0.090 0.118 0.810
V3 0.520 0.246 0.814
V4 0.526 0.681 0.313
V5 0.648 0.118 0.314
V6 0.651 0.674 0.817
P1 0.000 0.461 0.725
P2 0.170 0.899 0.396
P3 0.171 0.373 0.904
P4 0.302 0.764 0.900
P5 0.306 0.373 0.401
P6 0.397 0.592 0.722
P7 0.398 0.456 0.223
P8 0.421 0.013 0.200
P9 0.427 0.008 0.700
P10 0.753 0.344 0.429
P11 0.756 0.339 0.930
P12 0.772 0.903 0.900
P13 0.780 0.765 0.407
P14 0.865 0.991 0.724
P15 0.869 0.595 0.227
P16 0.997 0.996 0.218
O1 0.002 0.027 0.736
O2 0.003 0.422 0.233
O3 0.007 0.298 0.737
O4 0.061 0.927 0.127
O5 0.075 0.480 0.641
O6 0.075 0.890 0.474
O7 0.086 0.479 0.815
O8 0.099 0.465 0.988
O9 0.101 0.877 0.299
O10 0.163 0.219 0.891
O11 0.168 0.059 0.386
O12 0.171 0.942 0.898
O13 0.172 0.332 0.395
O14 0.272 0.157 0.243
O15 0.274 0.016 0.745
O16 0.275 0.685 0.980
O17 0.280 0.692 0.804
O18 0.287 0.473 0.310
O19 0.296 0.469 0.483
O20 0.314 0.471 0.137
O21 0.323 0.655 0.631
O22 0.344 0.762 0.399
O23 0.347 0.329 0.893
O24 0.424 0.864 0.247
O25 0.428 0.002 0.598
O26 0.428 0.155 0.741
O27 0.430 0.420 0.736
O28 0.433 0.003 0.099
O29 0.440 0.589 0.239
O30 0.467 0.216 0.389
O31 0.467 0.751 0.893
O32 0.553 0.296 0.238
O33 0.553 0.594 0.739
O34 0.566 0.861 0.748
O35 0.571 0.011 0.243
O36 0.602 0.494 0.394
O37 0.611 0.336 0.884
O38 0.616 0.059 0.887
O39 0.627 0.756 0.393
O40 0.706 0.145 0.736
O41 0.708 0.595 0.241
O42 0.739 0.942 0.398
O43 0.741 0.762 0.898
O44 0.751 0.489 0.887
O45 0.754 0.196 0.382
O46 0.755 0.332 0.032
O47 0.757 0.322 0.530
O48 0.824 0.592 0.737
O49 0.827 0.020 0.231
O50 0.856 0.903 0.987
O51 0.873 0.682 0.145
O52 0.873 0.695 0.491
O53 0.883 0.881 0.812
O54 0.884 0.905 0.636
O55 0.887 0.678 0.318
O56 0.899 0.345 0.385
O57 0.906 0.191 0.888
O58 0.996 0.153 0.239
# - energy above the lowest structure with this stoichiometry (eV/atom) = 0.004

=====

# NiH36C12S6I4O6 GGA+U relaxed
data_NiH36C12S6I4O6
_cell_length_a 12.0691
_cell_length_b 12.0691
_cell_length_c 20.3206
_cell_angle_alpha 90.00
_cell_angle_beta 90.00
_cell_angle_gamma 120.00
_symmetry_space_group_name_H-M 'R -3'
_symmetry_Int_Tables_number 148
_symmetry_space_group_name_Hall '-R 3'
loop_
_atom_site_label
_atom_site_fract_x
_atom_site_fract_y
_atom_site_fract_z
Ni1 0.0000 0.0000 0.0000
H1 0.0016 0.2838 0.8271
H2 0.0037 0.6346 0.6968
H3 0.0109 0.2306 0.1863
H4 0.0180 0.7599 0.6423
H5 0.0409 0.7781 0.2987
H6 0.0438 0.5986 0.1920
C1 0.0032 0.6782 0.3135
C2 0.0144 0.2967 0.1482
S1 0.0424 0.7946 0.9264
I1 0.0000 0.0000 0.2625
I2 0.0000 0.0000 0.4276
O1 0.0563 0.1650 0.0573
# - DFT total energy (eV/f.u.) = -315.23

=====

# Li5Fe8B8O24 GGA+U relaxed
data_Li5Fe8B8O24
_cell_length_a 5.220
_cell_length_b 9.081
_cell_length_c 10.256
_cell_angle_alpha 89.01
_cell_angle_beta 89.24
_cell_angle_gamma 89.83
_symmetry_space_group_name_H-M 'P 1'
_symmetry_Int_Tables_number 1
loop_
_symmetry_equiv_pos_as_xyz
'x,y,z'
loop_
_atom_site_label
_atom_site_fract_x
_atom_site_fract_y
_atom_site_fract_z
Li1 0.000 0.000 0.000
Li2 0.014 0.987 0.506
Li3 0.359 0.333 0.746
Li4 0.824 0.835 0.253
Li5 0.864 0.831 0.761
Fe1 0.015 0.332 0.973
Fe2 0.332 0.013 0.217
Fe3 0.348 0.671 0.719
Fe4 0.506 0.816 0.980
Fe5 0.515 0.170 0.466
Fe6 0.845 0.495 0.222
Fe7 0.859 0.168 0.727
Fe8 0.996 0.652 0.471
B1 0.014 0.665 0.969
B2 0.017 0.323 0.467
B3 0.349 0.667 0.227
B4 0.354 0.995 0.711
B5 0.502 0.840 0.474
B6 0.506 0.154 0.958
B7 0.831 0.163 0.217
B8 0.843 0.504 0.721
O1 0.083 0.666 0.257
O2 0.089 0.988 0.706
O3 0.259 0.661 0.912
O4 0.276 0.321 0.483
O5 0.361 0.724 0.526
O6 0.366 0.970 0.440
O7 0.369 0.279 0.930
O8 0.382 0.029 0.009
O9 0.463 0.800 0.189
O10 0.484 0.123 0.674
O11 0.494 0.542 0.235
O12 0.495 0.871 0.752
O13 0.580 0.507 0.722
O14 0.588 0.165 0.274
O15 0.765 0.835 0.455
O16 0.771 0.149 0.932
O17 0.877 0.196 0.505
O18 0.884 0.798 0.959
O19 0.892 0.446 0.419
O20 0.910 0.542 0.028
O21 0.944 0.293 0.177
O22 0.953 0.029 0.199
O23 0.977 0.633 0.685
O24 0.978 0.378 0.753
# - energy above the lowest structure with this stoichiometry (eV/atom) = 0.009

=====

# MgFe10O16F4 GGA+U relaxed
data_MgFe10O16F4
_cell_length_a 4.916
_cell_length_b 5.708
_cell_length_c 12.757
_cell_angle_alpha 99.38
_cell_angle_beta 91.05
_cell_angle_gamma 92.28
_symmetry_space_group_name_H-M 'P 1'
_symmetry_Int_Tables_number 1
loop_
_symmetry_equiv_pos_as_xyz
'x,y,z'
loop_
_atom_site_label
_atom_site_fract_x
_atom_site_fract_y
_atom_site_fract_z
Mg1 0.000 0.000 0.000
Fe1 0.004 0.631 0.770
Fe2 0.012 0.874 0.588
Fe3 0.028 0.081 0.391
Fe4 0.471 0.178 0.798
Fe5 0.472 0.401 0.594
Fe6 0.482 0.618 0.396
Fe7 0.505 0.029 0.003
Fe8 0.515 0.834 0.201
Fe9 0.927 0.497 0.992
Fe10 0.954 0.355 0.219
O1 0.181 0.144 0.533
O2 0.184 0.922 0.728
O3 0.192 0.357 0.341
O4 0.265 0.215 0.937
O5 0.292 0.034 0.119
O6 0.293 0.420 0.729
O7 0.301 0.856 0.331
O8 0.305 0.650 0.528
O9 0.673 0.571 0.264
O10 0.694 0.973 0.879
O11 0.714 0.780 0.055
O12 0.779 0.438 0.851
O13 0.789 0.267 0.071
O14 0.790 0.636 0.644
O15 0.810 0.850 0.456
O16 0.811 0.063 0.264
F1 0.185 0.562 0.131
F2 0.190 0.723 0.928
F3 0.674 0.348 0.456
F4 0.678 0.139 0.656
# - energy above the lowest structure with this stoichiometry (eV/atom) = 0.028

=====

# LiEu2CoO4 GGA+U relaxed
data_LiEu2CoO4
_cell_length_a 14.003
_cell_length_b 3.856
_cell_length_c 3.854
_cell_angle_alpha 90.00
_cell_angle_beta 105.82
_cell_angle_gamma 90.00
_symmetry_space_group_name_H-M 'C 1 m 1'
_symmetry_Int_Tables_number 8
loop_
_symmetry_equiv_pos_as_xyz
'x,y,z'
'x,-y,z'
'x+1/2,y+1/2,z'
'x+1/2,-y+1/2,z'
loop_
_atom_site_label
_atom_site_fract_x
_atom_site_fract_y
_atom_site_fract_z
Li1 0.000 0.000 0.000
Eu1 0.125 0.000 0.624
Eu2 0.374 0.000 0.869
Co1 0.250 0.500 0.247
O1 0.065 0.500 0.062
O2 0.246 0.000 0.243
O3 0.254 0.500 0.752
O4 0.435 0.500 0.434
# - energy above the lowest structure with this stoichiometry (eV/atom) = 0.292

=====

# AlSbW2O8 GGA+U relaxed
data_AlSbW2O8
_cell_length_a 5.198
_cell_length_b 5.628
_cell_length_c 10.673
_cell_angle_alpha 90.00
_cell_angle_beta 119.06
_cell_angle_gamma 90.00
_symmetry_space_group_name_H-M 'P 1 2/c 1'
_symmetry_Int_Tables_number 13
loop_
_symmetry_equiv_pos_as_xyz
'x,y,z'
'-x,-y,-z'
'-x,y,-z+1/2'
'x,-y,z+1/2'
loop_
_atom_site_label
_atom_site_fract_x
_atom_site_fract_y
_atom_site_fract_z
Al1 0.000 0.166 0.250
Sb1 0.500 0.138 0.750
W1 0.242 0.342 0.998
O1 0.028 0.384 0.122
O2 0.057 0.100 0.640
O3 0.428 0.121 0.360
O4 0.475 0.379 0.882
# - energy above the lowest structure with this stoichiometry (eV/atom) = 0.020